No. 1
! KHo2Cl7 r²SCAN optimized geometry; values from VASP
! * calculated formation energy: -24.93 eV per formula unit
! * calculated volume: 1104 Å³ per cell
! * SG: P2_1/c, No. 14
&SYSTEM
  ibrav = 0, nat = 40, ntyp = 3
/
ATOMIC_SPECIES
K 39.10 K.upf
Ho 164.93 Ho.upf
Cl 35.45 Cl.upf
CELL_PARAMETERS angstrom
6.877 0.000 0.000
0.000 12.525 0.000
-0.038 0.000 12.823
ATOMIC_POSITIONS crystal
K 0.221 0.203 0.036
K 0.221 0.297 0.536
K 0.779 0.703 0.464
K 0.779 0.797 0.964
Ho 0.228 0.537 0.237
Ho 0.228 0.963 0.737
Ho 0.274 0.660 0.748
Ho 0.274 0.840 0.248
Ho 0.726 0.160 0.752
Ho 0.726 0.340 0.252
Ho 0.772 0.037 0.263
Ho 0.772 0.463 0.763
Cl 0.004 0.702 0.174
Cl 0.004 0.798 0.674
Cl 0.021 0.574 0.882
Cl 0.021 0.926 0.382
Cl 0.052 0.528 0.631
Cl 0.052 0.972 0.131
Cl 0.253 0.686 0.396
Cl 0.253 0.814 0.896
Cl 0.459 0.089 0.619
Cl 0.459 0.411 0.119
Cl 0.466 0.057 0.873
Cl 0.466 0.443 0.373
Cl 0.490 0.679 0.172
Cl 0.490 0.821 0.672
Cl 0.510 0.179 0.328
Cl 0.510 0.321 0.828
Cl 0.534 0.557 0.627
Cl 0.534 0.943 0.127
Cl 0.541 0.589 0.881
Cl 0.541 0.911 0.381
Cl 0.747 0.186 0.104
Cl 0.747 0.314 0.604
Cl 0.948 0.028 0.869
Cl 0.948 0.472 0.369
Cl 0.979 0.074 0.618
Cl 0.979 0.426 0.118
Cl 0.996 0.202 0.326
Cl 0.996 0.298 0.826



No. 2
! Na3HoCl6 r²SCAN optimized geometry; values from VASP
! * calculated formation energy: -22.39 eV per formula unit
! * calculated volume: 496 Å³ per cell
! * SG: P2_1/c, No. 14
&SYSTEM
  ibrav = 0, nat = 20, ntyp = 3
/
ATOMIC_SPECIES
Na 22.99 Na.upf
Ho 164.93 Ho.upf
Cl 35.45 Cl.upf
CELL_PARAMETERS angstrom
6.805 0.000 0.000
0.000 7.235 0.000
-6.656 0.000 10.079
ATOMIC_POSITIONS crystal
Na 0.000 0.000 0.000
Na 0.000 0.500 0.500
Na 0.215 0.078 0.740
Na 0.215 0.422 0.240
Na 0.785 0.578 0.760
Na 0.785 0.922 0.260
Ho 0.500 0.000 0.500
Ho 0.500 0.500 0.000
Cl 0.119 0.180 0.435
Cl 0.119 0.320 0.935
Cl 0.252 0.694 0.421
Cl 0.252 0.806 0.921
Cl 0.400 0.065 0.260
Cl 0.400 0.435 0.760
Cl 0.600 0.565 0.240
Cl 0.600 0.935 0.740
Cl 0.748 0.194 0.079
Cl 0.748 0.306 0.579
Cl 0.881 0.680 0.065
Cl 0.881 0.820 0.565



No. 3
! NaHoCl4 r²SCAN optimized geometry; values from VASP
! * calculated formation energy: -14.21 eV per formula unit
! * calculated volume: 299 Å³ per cell
! * SG: P-1, No. 2
&SYSTEM
  ibrav = 0, nat = 12, ntyp = 3
/
ATOMIC_SPECIES
Na 22.99 Na.upf
Ho 164.93 Ho.upf
Cl 35.45 Cl.upf
CELL_PARAMETERS angstrom
6.581 0.000 0.000
1.301 6.552 0.000
0.243 0.042 6.935
ATOMIC_POSITIONS crystal
Na 0.231 0.196 0.035
Na 0.769 0.804 0.965
Ho 0.211 0.700 0.446
Ho 0.789 0.300 0.554
Cl 0.047 0.502 0.744
Cl 0.098 0.002 0.706
Cl 0.390 0.793 0.133
Cl 0.434 0.312 0.380
Cl 0.566 0.688 0.620
Cl 0.610 0.207 0.867
Cl 0.902 0.998 0.294
Cl 0.953 0.498 0.256



No. 4
! ICl r²SCAN optimized geometry; values from VASP
! * calculated formation energy: -0.28 eV per formula unit
! * calculated volume: 580 Å³ per cell
! * SG: P2_1/c, No. 14
&SYSTEM
  ibrav = 0, nat = 16, ntyp = 2
/
ATOMIC_SPECIES
I 126.90 I.upf
Cl 35.45 Cl.upf
CELL_PARAMETERS angstrom
9.039 0.000 0.000
0.000 8.289 0.000
-0.029 0.000 7.734
ATOMIC_POSITIONS crystal
I 0.019 0.117 0.255
I 0.019 0.383 0.755
I 0.308 0.023 0.128
I 0.308 0.477 0.628
I 0.692 0.523 0.372
I 0.692 0.977 0.872
I 0.981 0.617 0.245
I 0.981 0.883 0.745
Cl 0.236 0.698 0.134
Cl 0.236 0.802 0.634
Cl 0.393 0.203 0.607
Cl 0.393 0.297 0.107
Cl 0.607 0.703 0.893
Cl 0.607 0.797 0.393
Cl 0.764 0.198 0.366
Cl 0.764 0.302 0.866



No. 5
! ICl3 r²SCAN optimized geometry; values from VASP
! * calculated formation energy: -0.78 eV per formula unit
! * calculated volume: 257 Å³ per cell
! * SG: P-1, No. 2
&SYSTEM
  ibrav = 0, nat = 8, ntyp = 2
/
ATOMIC_SPECIES
I 126.90 I.upf
Cl 35.45 Cl.upf
CELL_PARAMETERS angstrom
5.567 0.000 0.000
0.833 5.791 0.000
1.610 2.394 7.968
ATOMIC_POSITIONS crystal
I 0.181 0.001 0.184
I 0.819 0.999 0.816
Cl 0.128 0.283 0.865
Cl 0.211 0.733 0.455
Cl 0.452 0.269 0.204
Cl 0.548 0.731 0.796
Cl 0.789 0.267 0.545
Cl 0.872 0.717 0.135



No. 6
! ICl r²SCAN optimized geometry; values from VASP
! * calculated formation energy: -0.29 eV per formula unit
! * calculated volume: 599 Å³ per cell
! * SG: P2_1/c, No. 14
&SYSTEM
  ibrav = 0, nat = 16, ntyp = 2
/
ATOMIC_SPECIES
I 126.90 I.upf
Cl 35.45 Cl.upf
CELL_PARAMETERS angstrom
12.565 0.000 0.000
0.000 4.418 0.000
-4.919 0.000 10.794
ATOMIC_POSITIONS crystal
I 0.181 0.142 0.107
I 0.181 0.358 0.607
I 0.286 0.571 0.862
I 0.286 0.929 0.362
I 0.714 0.071 0.638
I 0.714 0.429 0.138
I 0.819 0.642 0.393
I 0.819 0.858 0.893
Cl 0.092 0.168 0.382
Cl 0.092 0.332 0.882
Cl 0.455 0.728 0.345
Cl 0.455 0.772 0.845
Cl 0.545 0.228 0.155
Cl 0.545 0.272 0.655
Cl 0.908 0.668 0.118
Cl 0.908 0.832 0.618



No. 7
! KICl4 r²SCAN optimized geometry; values from VASP
! * calculated formation energy: -5.24 eV per formula unit
! * calculated volume: 820 Å³ per cell
! * SG: P2_1/c, No. 14
&SYSTEM
  ibrav = 0, nat = 24, ntyp = 3
/
ATOMIC_SPECIES
K 39.10 K.upf
I 126.90 I.upf
Cl 35.45 Cl.upf
CELL_PARAMETERS angstrom
4.687 0.000 0.000
0.000 13.595 0.000
-3.373 0.000 12.865
ATOMIC_POSITIONS crystal
K 0.153 0.154 0.416
K 0.153 0.346 0.916
K 0.847 0.654 0.084
K 0.847 0.846 0.584
I 0.306 0.066 0.800
I 0.306 0.434 0.300
I 0.694 0.566 0.700
I 0.694 0.934 0.200
Cl 0.057 0.591 0.316
Cl 0.057 0.909 0.816
Cl 0.242 0.115 0.969
Cl 0.242 0.385 0.469
Cl 0.362 0.011 0.615
Cl 0.362 0.489 0.115
Cl 0.456 0.732 0.717
Cl 0.456 0.768 0.217
Cl 0.544 0.232 0.783
Cl 0.544 0.268 0.283
Cl 0.638 0.511 0.885
Cl 0.638 0.989 0.385
Cl 0.758 0.615 0.531
Cl 0.758 0.885 0.031
Cl 0.943 0.091 0.184
Cl 0.943 0.409 0.684



No. 8
! SbI3Cl8 r²SCAN optimized geometry; values from VASP
! * calculated formation energy: -5.53 eV per formula unit
! * calculated volume: 406 Å³ per cell
! * SG: P-1, No. 2
&SYSTEM
  ibrav = 0, nat = 12, ntyp = 3
/
ATOMIC_SPECIES
Sb 121.76 Sb.upf
I 126.90 I.upf
Cl 35.45 Cl.upf
CELL_PARAMETERS angstrom
7.152 0.000 0.000
-1.135 7.236 0.000
-0.790 -0.269 7.843
ATOMIC_POSITIONS crystal
Sb 0.000 0.000 0.000
I 0.000 0.500 0.500
I 0.337 0.738 0.664
I 0.663 0.262 0.336
Cl 0.111 0.027 0.293
Cl 0.159 0.728 0.972
Cl 0.279 0.198 0.938
Cl 0.499 0.744 0.417
Cl 0.501 0.256 0.583
Cl 0.721 0.802 0.062
Cl 0.841 0.272 0.028
Cl 0.889 0.973 0.707



Copy entry 5 word for word.
! ICl3 r²SCAN optimized geometry; values from VASP
! * calculated formation energy: -0.78 eV per formula unit
! * calculated volume: 257 Å³ per cell
! * SG: P-1, No. 2
&SYSTEM
  ibrav = 0, nat = 8, ntyp = 2
/
ATOMIC_SPECIES
I 126.90 I.upf
Cl 35.45 Cl.upf
CELL_PARAMETERS angstrom
5.567 0.000 0.000
0.833 5.791 0.000
1.610 2.394 7.968
ATOMIC_POSITIONS crystal
I 0.181 0.001 0.184
I 0.819 0.999 0.816
Cl 0.128 0.283 0.865
Cl 0.211 0.733 0.455
Cl 0.452 0.269 0.204
Cl 0.548 0.731 0.796
Cl 0.789 0.267 0.545
Cl 0.872 0.717 0.135